[1]
A plane-wave DFT calculation with PBE was carried out for a relaxed structure of SiH6C4N5F6.

Values from the calculation:
DFT formation energy: -0.81 eV per atom
ρ: 1.725 Mg/m³
E: -523.66 eV/cell
symmetry: P2_1/c

Cell lengths 7.2466, 12.7276, 11.2741 Å; angles 90.00, 99.68, 90.00 degrees
Atoms (fractional coordinates):
Si 0.1294 0.1008 0.2737
Si 0.1294 0.3992 0.7737
Si 0.8706 0.6008 0.2263
Si 0.8706 0.8992 0.7263
H 0.1078 0.0993 0.5574
H 0.1078 0.4007 0.0574
H 0.1580 0.1845 0.6857
H 0.1580 0.3155 0.1857
H 0.1731 0.0522 0.8756
H 0.1731 0.4478 0.3756
H 0.2653 0.1239 0.0081
H 0.2653 0.3761 0.5081
H 0.3857 0.5647 0.7371
H 0.3857 0.9353 0.2371
H 0.4973 0.0531 0.3874
H 0.4973 0.4469 0.8874
H 0.5027 0.5531 0.1126
H 0.5027 0.9469 0.6126
H 0.6143 0.0647 0.7629
H 0.6143 0.4353 0.2629
H 0.7347 0.6239 0.4919
H 0.7347 0.8761 0.9919
H 0.8269 0.5522 0.6244
H 0.8269 0.9478 0.1244
H 0.8420 0.6845 0.8143
H 0.8420 0.8155 0.3143
H 0.8922 0.5993 0.9426
H 0.8922 0.9007 0.4426
C 0.2278 0.6833 0.5224
C 0.2278 0.8167 0.0224
C 0.3426 0.0584 0.6683
C 0.3426 0.4416 0.1683
C 0.3686 0.7222 0.4446
C 0.3686 0.7778 0.9446
C 0.4357 0.1107 0.8809
C 0.4357 0.3893 0.3809
C 0.5643 0.6107 0.6191
C 0.5643 0.8893 0.1191
C 0.6314 0.2222 0.0554
C 0.6314 0.2778 0.5554
C 0.6574 0.5584 0.8317
C 0.6574 0.9416 0.3317
C 0.7722 0.1833 0.9776
C 0.7722 0.3167 0.4776
N 0.1924 0.1180 0.6385
N 0.1924 0.3820 0.1385
N 0.2803 0.0992 0.9218
N 0.2803 0.4008 0.4218
N 0.3708 0.5180 0.0933
N 0.3708 0.9820 0.5933
N 0.4125 0.6600 0.5422
N 0.4125 0.8400 0.0422
N 0.4732 0.0795 0.7737
N 0.4732 0.4205 0.2737
N 0.5268 0.5795 0.7263
N 0.5268 0.9205 0.2263
N 0.5875 0.1600 0.9578
N 0.5875 0.3400 0.4578
N 0.6292 0.0180 0.4067
N 0.6292 0.4820 0.9067
N 0.7197 0.5992 0.5782
N 0.7197 0.9008 0.0782
N 0.8076 0.6180 0.8615
N 0.8076 0.8820 0.3615
F 0.0312 0.0908 0.3993
F 0.0312 0.4092 0.8993
F 0.0527 0.2266 0.2482
F 0.0527 0.2734 0.7482
F 0.0728 0.5533 0.3127
F 0.0728 0.9467 0.8127
F 0.2133 0.5270 0.7935
F 0.2133 0.9730 0.2935
F 0.2361 0.1071 0.1471
F 0.2361 0.3929 0.6471
F 0.3337 0.1479 0.3579
F 0.3337 0.3521 0.8579
F 0.6663 0.6479 0.1421
F 0.6663 0.8521 0.6421
F 0.7639 0.6071 0.3529
F 0.7639 0.8929 0.8529
F 0.7867 0.0270 0.7065
F 0.7867 0.4730 0.2065
F 0.9272 0.0533 0.1873
F 0.9272 0.4467 0.6873
F 0.9473 0.7266 0.2518
F 0.9473 0.7734 0.7518
F 0.9688 0.5908 0.1007
F 0.9688 0.9092 0.6007

---

[2]
A plane-wave DFT calculation with PBE was carried out for a relaxed structure of USi6H54C18N3F.

Values from the calculation:
DFT formation energy: -0.31 eV per atom
ρ: 1.285 Mg/m³
E: -1780.94 eV/cell
symmetry: P2_1/c

Cell lengths 9.1413, 19.0498, 22.1312 Å; angles 90.00, 97.98, 90.00 degrees
Atoms (fractional coordinates):
U 0.2447 0.2407 0.3998
U 0.2447 0.2593 0.8998
U 0.7553 0.7407 0.1002
U 0.7553 0.7593 0.6002
Si 0.0259 0.6897 0.2249
Si 0.0259 0.8103 0.7249
Si 0.2011 0.1408 0.5300
Si 0.2011 0.3592 0.0300
Si 0.2175 0.0778 0.9333
Si 0.2175 0.4222 0.4333
Si 0.2525 0.1009 0.3018
Si 0.2525 0.3991 0.8018
Si 0.3935 0.1187 0.8312
Si 0.3935 0.3813 0.3312
Si 0.4924 0.7015 0.9744
Si 0.4924 0.7985 0.4744
Si 0.5076 0.2015 0.5256
Si 0.5076 0.2985 0.0256
Si 0.6065 0.6187 0.6688
Si 0.6065 0.8813 0.1688
Si 0.7475 0.6009 0.1982
Si 0.7475 0.8991 0.6982
Si 0.7825 0.5778 0.5667
Si 0.7825 0.9222 0.0667
Si 0.7989 0.6408 0.9700
Si 0.7989 0.8592 0.4700
Si 0.9741 0.1897 0.2751
Si 0.9741 0.3103 0.7751
H 0.0012 0.5418 0.6418
H 0.0014 0.6347 0.0602
H 0.0014 0.8653 0.5602
H 0.0012 0.9582 0.1418
H 0.0226 0.5173 0.5662
H 0.0230 0.5707 0.0043
H 0.0230 0.9293 0.5043
H 0.0226 0.9827 0.0662
H 0.0270 0.1640 0.6042
H 0.0269 0.1887 0.7403
H 0.0269 0.3113 0.2403
H 0.0270 0.3360 0.1042
H 0.0302 0.1737 0.1668
H 0.0302 0.3263 0.6668
H 0.0312 0.2372 0.5548
H 0.0312 0.2628 0.0548
H 0.0346 0.5937 0.3054
H 0.0346 0.9063 0.8054
H 0.0504 0.6854 0.6902
H 0.0504 0.8146 0.1902
H 0.0525 0.6058 0.5902
H 0.0525 0.8942 0.0902
H 0.0638 0.0073 0.2651
H 0.0638 0.4927 0.7651
H 0.1085 0.0049 0.3457
H 0.1085 0.4951 0.8457
H 0.1100 0.0577 0.4455
H 0.1100 0.4423 0.9455
H 0.1595 0.6632 0.3264
H 0.1595 0.8368 0.8264
H 0.1650 0.7028 0.7599
H 0.1650 0.7972 0.2599
H 0.1754 0.5960 0.1810
H 0.1754 0.9040 0.6810
H 0.1759 0.2244 0.6163
H 0.1759 0.2756 0.1163
H 0.1806 0.1599 0.0192
H 0.1806 0.3401 0.5192
H 0.1858 0.0710 0.0428
H 0.1858 0.4290 0.5428
H 0.1890 0.0778 0.7503
H 0.1890 0.4222 0.2503
H 0.1891 0.6776 0.1431
H 0.1891 0.8224 0.6431
H 0.2014 0.0395 0.5988
H 0.2014 0.4605 0.0988
H 0.2345 0.5286 0.7986
H 0.2345 0.9714 0.2986
H 0.2461 0.0973 0.1872
H 0.2461 0.4027 0.6872
H 0.2614 0.5443 0.4657
H 0.2613 0.6344 0.9493
H 0.2613 0.8656 0.4493
H 0.2614 0.9557 0.9657
H 0.2726 0.0052 0.7918
H 0.2726 0.4948 0.2918
H 0.2854 0.7286 0.5038
H 0.2854 0.7714 0.0038
H 0.2883 0.6639 0.2172
H 0.2883 0.8361 0.7172
H 0.3037 0.5367 0.3905
H 0.3037 0.9633 0.8905
H 0.3289 0.2285 0.7678
H 0.3289 0.2715 0.2678
H 0.3464 0.0288 0.5540
H 0.3464 0.4712 0.0540
H 0.3522 0.6129 0.6080
H 0.3522 0.8871 0.1080
H 0.3526 0.1152 0.0345
H 0.3526 0.3848 0.5345
H 0.3553 0.7463 0.8781
H 0.3553 0.7537 0.3781
H 0.3584 0.5746 0.6812
H 0.3584 0.9254 0.1812
H 0.3652 0.0472 0.7368
H 0.3652 0.4528 0.2368
H 0.3696 0.0855 0.6185
H 0.3696 0.4145 0.1185
H 0.3698 0.5954 0.0133
H 0.3698 0.9046 0.5133
H 0.3817 0.1577 0.2207
H 0.3817 0.3423 0.7207
H 0.3867 0.0860 0.4091
H 0.3867 0.4140 0.9091
H 0.3980 0.7447 0.0704
H 0.3980 0.7553 0.5704
H 0.4122 0.5794 0.9385
H 0.4122 0.9206 0.4385
H 0.4152 0.0661 0.2268
H 0.4152 0.4339 0.7268
H 0.4245 0.5270 0.6219
H 0.4245 0.9730 0.1219
H 0.4329 0.5077 0.4530
H 0.4329 0.9923 0.9530
H 0.4527 0.6832 0.5272
H 0.4527 0.8168 0.0272
H 0.4754 0.2070 0.1054
H 0.4754 0.2930 0.6054
H 0.4775 0.2075 0.6374
H 0.4775 0.2925 0.1374
H 0.4875 0.1442 0.3670
H 0.4875 0.3558 0.8670
H 0.4903 0.0540 0.3530
H 0.4903 0.4460 0.8530
H 0.4959 0.1892 0.7532
H 0.4959 0.3108 0.2532
H 0.4967 0.2409 0.8187
H 0.4967 0.2591 0.3187
H 0.5033 0.7409 0.6813
H 0.5033 0.7591 0.1813
H 0.5041 0.6892 0.7468
H 0.5041 0.8108 0.2468
H 0.5097 0.5540 0.1470
H 0.5097 0.9460 0.6470
H 0.5125 0.6442 0.1330
H 0.5125 0.8558 0.6330
H 0.5225 0.7075 0.8626
H 0.5225 0.7925 0.3626
H 0.5246 0.7070 0.3946
H 0.5246 0.7930 0.8946
H 0.5473 0.1832 0.9728
H 0.5473 0.3168 0.4728
H 0.5671 0.0077 0.0470
H 0.5671 0.4923 0.5470
H 0.5755 0.0270 0.8781
H 0.5755 0.4730 0.3781
H 0.5848 0.5661 0.2732
H 0.5848 0.9339 0.7732
H 0.5878 0.0794 0.5615
H 0.5878 0.4206 0.0615
H 0.6020 0.2447 0.4296
H 0.6020 0.2553 0.9296
H 0.6133 0.5860 0.0909
H 0.6133 0.9140 0.5909
H 0.6183 0.6577 0.2793
H 0.6183 0.8423 0.7793
H 0.6302 0.0954 0.4867
H 0.6302 0.4046 0.9867
H 0.6304 0.5855 0.8815
H 0.6304 0.9145 0.3815
H 0.6348 0.5472 0.7632
H 0.6348 0.9528 0.2632
H 0.6416 0.0746 0.8188
H 0.6416 0.4254 0.3188
H 0.6447 0.2463 0.6219
H 0.6447 0.2537 0.1219
H 0.6474 0.6152 0.4655
H 0.6474 0.8848 0.9655
H 0.6478 0.1129 0.8920
H 0.6478 0.3871 0.3920
H 0.6536 0.5288 0.9460
H 0.6536 0.9712 0.4460
H 0.6711 0.7285 0.7322
H 0.6711 0.7715 0.2322
H 0.6963 0.0367 0.1095
H 0.6963 0.4633 0.6095
H 0.7117 0.1639 0.2828
H 0.7117 0.3361 0.7828
H 0.7146 0.2286 0.9962
H 0.7146 0.2714 0.4962
H 0.7274 0.5052 0.7082
H 0.7274 0.9948 0.2082
H 0.7386 0.0443 0.0343
H 0.7387 0.1344 0.5507
H 0.7387 0.3656 0.0507
H 0.7386 0.4557 0.5343
H 0.7539 0.5973 0.3128
H 0.7539 0.9027 0.8128
H 0.7655 0.0286 0.7014
H 0.7655 0.4714 0.2014
H 0.7986 0.5395 0.9012
H 0.7986 0.9605 0.4012
H 0.8109 0.1776 0.3569
H 0.8109 0.3224 0.8569
H 0.8110 0.5778 0.7497
H 0.8110 0.9222 0.2497
H 0.8142 0.5710 0.4572
H 0.8142 0.9290 0.9572
H 0.8194 0.6599 0.4808
H 0.8194 0.8401 0.9808
H 0.8241 0.7244 0.8837
H 0.8241 0.7756 0.3837
H 0.8246 0.0960 0.3190
H 0.8246 0.4040 0.8190
H 0.8350 0.2028 0.7401
H 0.8350 0.2972 0.2401
H 0.8405 0.1632 0.1736
H 0.8405 0.3368 0.6736
H 0.8900 0.5577 0.0545
H 0.8900 0.9423 0.5545
H 0.8915 0.5049 0.1543
H 0.8915 0.9951 0.6543
H 0.9362 0.5073 0.2349
H 0.9362 0.9927 0.7349
H 0.9475 0.1058 0.9098
H 0.9475 0.3942 0.4098
H 0.9496 0.1854 0.8098
H 0.9496 0.3146 0.3098
H 0.9654 0.0937 0.1946
H 0.9654 0.4063 0.6946
H 0.9688 0.7372 0.9452
H 0.9688 0.7628 0.4452
H 0.9698 0.6737 0.3332
H 0.9698 0.8263 0.8332
H 0.9730 0.6640 0.8958
H 0.9731 0.6887 0.7597
H 0.9731 0.8113 0.2597
H 0.9730 0.8360 0.3958
H 0.9774 0.0173 0.9338
H 0.9770 0.0707 0.4957
H 0.9770 0.4293 0.9957
H 0.9774 0.4827 0.4338
H 0.9988 0.0418 0.8582
H 0.9986 0.1347 0.4398
H 0.9986 0.3653 0.9398
H 0.9988 0.4582 0.3582
C 0.0168 0.0593 0.9060
C 0.0168 0.4407 0.4060
C 0.0466 0.6511 0.3044
C 0.0466 0.8489 0.8044
C 0.0550 0.7127 0.7341
C 0.0550 0.7873 0.2341
C 0.0592 0.0974 0.4720
C 0.0592 0.4026 0.9720
C 0.1001 0.1973 0.5809
C 0.1001 0.3027 0.0809
C 0.1545 0.0137 0.3030
C 0.1545 0.4863 0.8030
C 0.1834 0.6531 0.1878
C 0.1834 0.8469 0.6878
C 0.2360 0.1093 0.0148
C 0.2360 0.3907 0.5148
C 0.2901 0.0674 0.5797
C 0.2901 0.4326 0.0797
C 0.2949 0.0567 0.7726
C 0.2949 0.4433 0.2726
C 0.3147 0.5102 0.4350
C 0.3147 0.9898 0.9350
C 0.3296 0.1067 0.2271
C 0.3296 0.3933 0.7271
C 0.3748 0.6196 0.9685
C 0.3748 0.8804 0.4685
C 0.4015 0.7356 0.5238
C 0.4015 0.7644 0.0238
C 0.4174 0.0968 0.3637
C 0.4174 0.4032 0.8637
C 0.4192 0.5796 0.6418
C 0.4192 0.9204 0.1418
C 0.4301 0.2023 0.7896
C 0.4301 0.2977 0.2896
C 0.4738 0.7407 0.8953
C 0.4738 0.7593 0.3953
C 0.5262 0.2407 0.6047
C 0.5262 0.2593 0.1047
C 0.5699 0.7023 0.7104
C 0.5699 0.7977 0.2104
C 0.5808 0.0796 0.8582
C 0.5808 0.4204 0.3582
C 0.5826 0.5968 0.1363
C 0.5826 0.9032 0.6363
C 0.5985 0.2356 0.9762
C 0.5985 0.2644 0.4762
C 0.6252 0.1196 0.5315
C 0.6252 0.3804 0.0315
C 0.6704 0.6067 0.2729
C 0.6704 0.8933 0.7729
C 0.6853 0.0102 0.0649
C 0.6853 0.4898 0.5649
C 0.7051 0.5567 0.7274
C 0.7051 0.9433 0.2274
C 0.7099 0.5674 0.9203
C 0.7099 0.9326 0.4203
C 0.7640 0.6093 0.4852
C 0.7640 0.8907 0.9852
C 0.8166 0.1531 0.3122
C 0.8166 0.3469 0.8122
C 0.8455 0.5137 0.1970
C 0.8455 0.9863 0.6970
C 0.8999 0.6973 0.9191
C 0.8999 0.8027 0.4191
C 0.9408 0.5974 0.0280
C 0.9408 0.9026 0.5280
C 0.9450 0.2127 0.7659
C 0.9450 0.2873 0.2659
C 0.9534 0.1511 0.1956
C 0.9534 0.3489 0.6956
C 0.9832 0.5593 0.5940
C 0.9832 0.9407 0.0940
N 0.1474 0.1735 0.3186
N 0.1474 0.3265 0.8186
N 0.2897 0.1424 0.8887
N 0.2897 0.3576 0.3887
N 0.3243 0.1889 0.4917
N 0.3243 0.3111 0.9917
N 0.6757 0.6889 0.0083
N 0.6757 0.8111 0.5083
N 0.7103 0.6424 0.6113
N 0.7103 0.8576 0.1113
N 0.8526 0.6735 0.1814
N 0.8526 0.8265 0.6814
F 0.0386 0.2354 0.9241
F 0.0386 0.2646 0.4241
F 0.9614 0.7354 0.5759
F 0.9614 0.7646 0.0759

---

[3]
A plane-wave DFT calculation with PBE was carried out for a relaxed structure of TiH20C8N2F6.

Values from the calculation:
DFT formation energy: -0.59 eV per atom
ρ: 1.387 Mg/m³
E: -196.65 eV/cell
symmetry: P1

Cell lengths 7.9542, 7.9592, 8.0019 Å; angles 118.93, 119.41, 90.20 degrees
Atoms (fractional coordinates):
Ti 0.0000 0.0000 0.0000
H 0.0105 0.2094 0.4812
H 0.0401 0.2324 0.7319
H 0.0638 0.4532 0.7229
H 0.2171 0.4752 0.2181
H 0.2290 0.6910 0.1979
H 0.3057 0.0317 0.5330
H 0.3302 0.0499 0.7782
H 0.4583 0.6713 0.3994
H 0.4767 0.0129 0.2678
H 0.4959 0.7170 0.7312
H 0.5261 0.9968 0.7245
H 0.5536 0.3288 0.6072
H 0.6834 0.9564 0.2279
H 0.6905 0.9798 0.4679
H 0.7373 0.2442 0.2449
H 0.7786 0.3032 0.8063
H 0.7958 0.5248 0.7981
H 0.9494 0.5518 0.2764
H 0.9742 0.7783 0.2781
H 0.9967 0.7910 0.5208
C 0.0240 0.7156 0.3844
C 0.2926 0.6370 0.3126
C 0.3277 0.6686 0.6356
C 0.3627 0.9757 0.6458
C 0.6400 0.0318 0.3505
C 0.6543 0.2896 0.3310
C 0.7191 0.3624 0.6968
C 0.9877 0.2904 0.6213
N 0.2499 0.7511 0.4972
N 0.7635 0.2602 0.5152
F 0.1086 0.7830 0.9564
F 0.1567 0.1099 0.9403
F 0.2084 0.1461 0.3196
F 0.7863 0.8523 0.6771
F 0.8264 0.8843 0.0455
F 0.8886 0.2172 0.0528